A relaxed Na2Ca5Sn3S12O48 crystal. Source: the Materials Project database, functional GGA-PBE.

Values from the calculation:
Calculated density ... 2.616 Mg/m³
Magnetization ... 0.00 μB per formula unit
VASP energy ... -6.20 eV/atom

a = 9.0066 Å, b = 15.5730 Å, c = 23.8317 Å
α = 89.90°, β = 89.88°, γ = 90.00°
With the nearest neighbours (Å) after each atom.
Space group P1 (No. 1)
One atom of each set of equivalent atoms:
1 Na 0.0000 0.0000 0.0000 [1 per cell]  6 O 2.54-2.64
2 Na 0.0008 0.3345 0.6775 [1 per cell]  3 O 2.41-2.63
3 Na 0.0035 0.3326 0.1639 [1 per cell]  6 O 2.64-2.93
4 Na 0.4968 0.8343 0.1696 [1 per cell]  6 O 2.54-2.80
5 Na 0.4985 0.8327 0.6759 [1 per cell]  3 O 2.43-2.67
6 Na 0.5037 0.5050 0.5066 [1 per cell]  4 O 2.46-2.59
7 Ca 0.0002 0.3292 0.8242 [1 per cell]  6 O 2.30-2.41
8 Ca 0.0007 0.3274 0.5217 [1 per cell]  6 O 2.22-2.30
9 Ca 0.0024 0.3396 0.0157 [1 per cell]  6 O 2.23-2.43
10 Ca 0.4977 0.8279 0.0169 [1 per cell]  6 O 2.21-2.37
11 Ca 0.4994 0.5011 0.6488 [1 per cell]  6 O 2.22-2.40
12 Ca 0.4993 0.8285 0.3234 [1 per cell]  6 O 2.28-2.42
13 Ca 0.4990 0.8392 0.5184 [1 per cell]  6 O 2.25-2.36
14 Ca 0.5005 0.8376 0.8231 [1 per cell]  6 O 2.30-2.41
15 Ca 0.5010 0.1627 0.1950 [1 per cell]  6 O 2.25-2.36
16 Ca 0.5020 0.5028 0.3566 [1 per cell]  6 O 2.21-2.31
17 Ca 0.5026 0.1720 0.6955 [1 per cell]  6 O 2.19-2.34
18 Ca 0.9963 0.6707 0.1934 [1 per cell]  6 O 2.22-2.30
19 Ca 0.9976 0.6618 0.6963 [1 per cell]  6 O 2.20-2.34
20 Ca 0.9992 0.9996 0.8568 [1 per cell]  6 O 2.24-2.34
21 Ca 0.9993 0.0033 0.1474 [1 per cell]  6 O 2.25-2.39
22 Sn 0.9996 0.9978 0.3533 [1 per cell]  6 O 2.02-2.11
23 Sn 0.0003 0.9991 0.6525 [1 per cell]  6 O 2.02-2.14
24 Sn 0.0007 0.6624 0.9868 [1 per cell]  6 O 2.05-2.19
25 Sn 0.4991 0.1705 0.9870 [1 per cell]  6 O 2.02-2.20
26 Sn 0.4987 0.4975 0.1511 [1 per cell]  6 O 2.02-2.20
27 Sn 0.5000 0.5006 0.8532 [1 per cell]  6 O 2.03-2.11
28 Sn 0.5047 0.1606 0.4891 [1 per cell]  5 O 2.03-2.18
29 Sn 0.9963 0.6739 0.4895 [1 per cell]  5 O 2.02-2.10
30 Sn 0.9995 0.3363 0.3240 [1 per cell]  6 O 2.07-2.17
31 S 0.1349 0.1464 0.7481 [1 per cell]  4 O 1.45-1.55
32 S 0.1369 0.4854 0.4214 [1 per cell]  4 O 1.46-1.56
33 S 0.1419 0.8110 0.0829 [1 per cell]  4 O 1.46-1.54
34 S 0.1526 0.8583 0.7486 [1 per cell]  4 O 1.45-1.55
35 S 0.1538 0.1813 0.4166 [1 per cell]  4 O 1.45-1.53
36 S 0.1556 0.5218 0.0888 [1 per cell]  4 O 1.45-1.52
37 S 0.1849 0.8336 0.4202 [1 per cell]  4 O 1.46-1.52
38 S 0.2107 0.1680 0.0837 [1 per cell]  4 O 1.46-1.53
39 S 0.2126 0.4964 0.7560 [1 per cell]  4 O 1.46-1.53
40 S 0.2863 0.9974 0.2563 [1 per cell]  4 O 1.46-1.54
41 S 0.2873 0.6660 0.5822 [1 per cell]  4 O 1.45-1.55
42 S 0.3160 0.3348 0.9198 [1 per cell]  4 O 1.46-1.51
43 S 0.3375 0.3575 0.2536 [1 per cell]  4 O 1.45-1.54
44 S 0.3420 0.6748 0.9194 [1 per cell]  4 O 1.46-1.52
45 S 0.3426 0.0231 0.5882 [1 per cell]  4 O 1.45-1.55
46 S 0.3533 0.9916 0.9251 [1 per cell]  4 O 1.47-1.53
47 S 0.3618 0.3104 0.5816 [1 per cell]  4 O 1.45-1.56
48 S 0.3646 0.6449 0.2479 [1 per cell]  4 O 1.45-1.55
49 S 0.6388 0.6457 0.7559 [1 per cell]  4 O 1.46-1.53
50 S 0.6401 0.3179 0.0900 [1 per cell]  4 O 1.46-1.53
51 S 0.6453 0.0224 0.0836 [1 per cell]  4 O 1.47-1.53
52 S 0.6486 0.3586 0.7558 [1 per cell]  4 O 1.46-1.53
53 S 0.6581 0.9914 0.4198 [1 per cell]  4 O 1.45-1.53
54 S 0.6640 0.6820 0.4261 [1 per cell]  4 O 1.46-1.52
55 S 0.7017 0.3257 0.4216 [1 per cell]  4 O 1.45-1.54
56 S 0.7042 0.6595 0.0888 [1 per cell]  4 O 1.46-1.52
57 S 0.7120 0.9947 0.7485 [1 per cell]  4 O 1.45-1.55
58 S 0.7951 0.1589 0.5885 [1 per cell]  4 O 1.44-1.54
59 S 0.7946 0.4895 0.2526 [1 per cell]  4 O 1.44-1.54
60 S 0.8101 0.8269 0.9255 [1 per cell]  4 O 1.46-1.53
61 S 0.8372 0.1820 0.9261 [1 per cell]  4 O 1.47-1.52
62 S 0.8412 0.4906 0.9201 [1 per cell]  4 O 1.46-1.52
63 S 0.8510 0.8583 0.2554 [1 per cell]  4 O 1.46-1.54
64 S 0.8535 0.5231 0.5828 [1 per cell]  4 O 1.45-1.54
65 S 0.8600 0.8189 0.5893 [1 per cell]  4 O 1.45-1.53
66 S 0.8654 0.1528 0.2601 [1 per cell]  4 O 1.45-1.53
67 O 0.0649 0.2324 0.7493 [1 per cell]  1 S 1.48
68 O 0.0646 0.5705 0.4273 [1 per cell]  1 S 1.48
69 O 0.0687 0.1051 0.6947 [1 per cell]  1 S 1.55
70 O 0.0691 0.4459 0.3669 [1 per cell]  1 S 1.56
71 O 0.0709 0.8964 0.0821 [1 per cell]  1 S 1.48
72 O 0.0790 0.2168 0.4653 [1 per cell]  1 S 1.45
73 O 0.0802 0.7760 0.7409 [1 per cell]  1 S 1.45
74 O 0.0824 0.9102 0.4116 [1 per cell]  1 S 1.52
75 O 0.0826 0.7657 0.0302 [1 per cell]  1 S 1.54
76 O 0.0853 0.7567 0.4294 [1 per cell]  1 S 1.51
77 O 0.0892 0.0953 0.4043 [1 per cell]  1 S 1.49
78 O 0.0930 0.5641 0.1376 [1 per cell]  1 S 1.45
79 O 0.0937 0.4351 0.0824 [1 per cell]  1 S 1.47
80 O 0.0943 0.9017 0.7981 [1 per cell]  1 S 1.46
81 O 0.0981 0.0965 0.7980 [1 per cell]  1 S 1.46
82 O 0.1037 0.7621 0.1332 [1 per cell]  1 S 1.46
83 O 0.1062 0.4286 0.4685 [1 per cell]  1 S 1.46
84 O 0.1174 0.2457 0.0792 [1 per cell]  1 S 1.48
85 O 0.1197 0.0892 0.0826 [1 per cell]  1 S 1.48
86 O 0.1197 0.4187 0.7618 [1 per cell]  1 S 1.48
87 O 0.1237 0.5745 0.7538 [1 per cell]  1 S 1.46
88 O 0.1254 0.9129 0.6950 [1 per cell]  1 S 1.55
89 O 0.1296 0.5731 0.0354 [1 per cell]  1 S 1.52
90 O 0.1326 0.2397 0.3656 [1 per cell]  1 S 1.53
91 O 0.1673 0.3505 0.2590 [1 per cell]  1 S 1.54
92 O 0.1764 0.6622 0.9287 [1 per cell]  1 S 1.52
93 O 0.1765 0.0171 0.5933 [1 per cell]  1 S 1.50
94 O 0.1912 0.0054 0.9213 [1 per cell]  1 S 1.48
95 O 0.1905 0.9882 0.2073 [1 per cell]  1 S 1.46
96 O 0.1922 0.0086 0.3099 [1 per cell]  1 S 1.54
97 O 0.1918 0.6708 0.6313 [1 per cell]  1 S 1.45
98 O 0.1939 0.6573 0.5277 [1 per cell]  1 S 1.55
99 O 0.1998 0.3166 0.5769 [1 per cell]  1 S 1.47
100 O 0.2054 0.6493 0.2402 [1 per cell]  1 S 1.45
101 O 0.2259 0.3169 0.8701 [1 per cell]  1 S 1.46
102 O 0.2270 0.3523 0.9699 [1 per cell]  1 S 1.46
103 O 0.2726 0.8167 0.3697 [1 per cell]  1 S 1.46
104 O 0.2748 0.8504 0.4696 [1 per cell]  1 S 1.46
105 O 0.2944 0.1514 0.7410 [1 per cell]  1 S 1.45
106 O 0.2973 0.4951 0.4135 [1 per cell]  1 S 1.46
107 O 0.3040 0.1733 0.1336 [1 per cell]  1 S 1.46
108 O 0.3043 0.8176 0.0786 [1 per cell]  1 S 1.47
109 O 0.3054 0.1612 0.0305 [1 per cell]  1 S 1.53
110 O 0.3063 0.4863 0.7059 [1 per cell]  1 S 1.47
111 O 0.3068 0.5056 0.8088 [1 per cell]  1 S 1.53
112 O 0.3160 0.8505 0.7503 [1 per cell]  1 S 1.48
113 O 0.3174 0.1711 0.4252 [1 per cell]  1 S 1.50
114 O 0.3234 0.5157 0.0931 [1 per cell]  1 S 1.52
115 O 0.3590 0.4128 0.2010 [1 per cell]  1 S 1.53
116 O 0.3628 0.7292 0.8700 [1 per cell]  1 S 1.46
117 O 0.3648 0.0748 0.5329 [1 per cell]  1 S 1.55
118 O 0.3769 0.0751 0.2542 [1 per cell]  1 S 1.46
119 O 0.3775 0.9195 0.2628 [1 per cell]  1 S 1.47
120 O 0.3788 0.5873 0.5809 [1 per cell]  1 S 1.48
121 O 0.3786 0.7437 0.5770 [1 per cell]  1 S 1.47
122 O 0.3861 0.9391 0.9747 [1 per cell]  1 S 1.47
123 O 0.3970 0.3986 0.3033 [1 per cell]  1 S 1.45
124 O 0.3975 0.2726 0.2443 [1 per cell]  1 S 1.45
125 O 0.4004 0.2605 0.6307 [1 per cell]  1 S 1.45
126 O 0.3999 0.5954 0.2981 [1 per cell]  1 S 1.46
127 O 0.4051 0.5860 0.9099 [1 per cell]  1 S 1.51
128 O 0.4052 0.9372 0.5805 [1 per cell]  1 S 1.46
129 O 0.4091 0.0671 0.6353 [1 per cell]  1 S 1.45
130 O 0.4109 0.7093 0.9699 [1 per cell]  1 S 1.46
131 O 0.4155 0.2583 0.9296 [1 per cell]  1 S 1.51
132 O 0.4146 0.9535 0.8737 [1 per cell]  1 S 1.47
133 O 0.4184 0.4098 0.9101 [1 per cell]  1 S 1.51
134 O 0.4221 0.2671 0.5270 [1 per cell]  1 S 1.56
135 O 0.4266 0.0795 0.9306 [1 per cell]  1 S 1.53
136 O 0.4320 0.3958 0.5802 [1 per cell]  1 S 1.47
137 O 0.4354 0.6017 0.1956 [1 per cell]  1 S 1.55
138 O 0.4351 0.7306 0.2487 [1 per cell]  1 S 1.48
139 O 0.5610 0.4049 0.0947 [1 per cell]  1 S 1.53
140 O 0.5692 0.7308 0.7620 [1 per cell]  1 S 1.47
141 O 0.5744 0.2801 0.0377 [1 per cell]  1 S 1.50
142 O 0.5757 0.2751 0.7542 [1 per cell]  1 S 1.46
143 O 0.5765 0.6037 0.7062 [1 per cell]  1 S 1.47
144 O 0.5758 0.9373 0.0791 [1 per cell]  1 S 1.47
145 O 0.5874 0.9553 0.3702 [1 per cell]  1 S 1.46
146 O 0.5891 0.4012 0.8090 [1 per cell]  1 S 1.53
147 O 0.5902 0.0805 0.4289 [1 per cell]  1 S 1.53
148 O 0.5921 0.0653 0.1346 [1 per cell]  1 S 1.47
149 O 0.6013 0.7251 0.4752 [1 per cell]  1 S 1.46
150 O 0.6034 0.3993 0.4136 [1 per cell]  1 S 1.46
151 O 0.6039 0.7329 0.0825 [1 per cell]  1 S 1.46
152 O 0.6052 0.5938 0.8090 [1 per cell]  1 S 1.53
153 O 0.6059 0.5931 0.4228 [1 per cell]  1 S 1.48
154 O 0.6076 0.0762 0.0319 [1 per cell]  1 S 1.53
155 O 0.6086 0.2667 0.1398 [1 per cell]  1 S 1.46
156 O 0.6108 0.2454 0.4284 [1 per cell]  1 S 1.50
157 O 0.6141 0.5771 0.0941 [1 per cell]  1 S 1.52
158 O 0.6161 0.4103 0.7058 [1 per cell]  1 S 1.47
159 O 0.6184 0.9169 0.7499 [1 per cell]  1 S 1.48
160 O 0.6248 0.0722 0.7412 [1 per cell]  1 S 1.45
161 O 0.6393 0.7302 0.3739 [1 per cell]  1 S 1.47
162 O 0.6402 0.9404 0.4706 [1 per cell]  1 S 1.45
163 O 0.6693 0.1778 0.9321 [1 per cell]  1 S 1.52
164 O 0.6781 0.5050 0.9104 [1 per cell]  1 S 1.50
165 O 0.6886 0.8505 0.2610 [1 per cell]  1 S 1.47
166 O 0.6902 0.5161 0.5816 [1 per cell]  1 S 1.48
167 O 0.6976 0.1713 0.6358 [1 per cell]  1 S 1.44
168 O 0.6995 0.4731 0.2008 [1 per cell]  1 S 1.53
169 O 0.6998 0.8318 0.5818 [1 per cell]  1 S 1.47
170 O 0.7050 0.4982 0.3030 [1 per cell]  1 S 1.45
171 O 0.7062 0.1453 0.5341 [1 per cell]  1 S 1.54
172 O 0.7060 0.1645 0.2564 [1 per cell]  1 S 1.45
173 O 0.7176 0.8364 0.9757 [1 per cell]  1 S 1.46
174 O 0.7216 0.8161 0.8743 [1 per cell]  1 S 1.47
175 O 0.7957 0.3117 0.3683 [1 per cell]  1 S 1.54
176 O 0.7965 0.6703 0.1384 [1 per cell]  1 S 1.46
177 O 0.7971 0.6470 0.0365 [1 per cell]  1 S 1.51
178 O 0.7977 0.3387 0.4698 [1 per cell]  1 S 1.45
179 O 0.8002 0.3331 0.0835 [1 per cell]  1 S 1.47
180 O 0.8003 0.6507 0.7536 [1 per cell]  1 S 1.46
181 O 0.8055 0.0017 0.7980 [1 per cell]  1 S 1.46
182 O 0.8071 0.9819 0.6949 [1 per cell]  1 S 1.55
183 O 0.8091 0.0163 0.0828 [1 per cell]  1 S 1.48
184 O 0.8114 0.3506 0.7611 [1 per cell]  1 S 1.48
185 O 0.8221 0.0067 0.4102 [1 per cell]  1 S 1.51
186 O 0.8320 0.6765 0.4318 [1 per cell]  1 S 1.52
187 O 0.8588 0.4389 0.9710 [1 per cell]  1 S 1.46
188 O 0.8626 0.2313 0.8744 [1 per cell]  1 S 1.47
189 O 0.8854 0.9125 0.2070 [1 per cell]  1 S 1.46
190 O 0.8868 0.0788 0.5935 [1 per cell]  1 S 1.50
191 O 0.8893 0.4072 0.2578 [1 per cell]  1 S 1.54
192 O 0.8904 0.5750 0.5295 [1 per cell]  1 S 1.54
193 O 0.8921 0.5617 0.2436 [1 per cell]  1 S 1.44
194 O 0.8919 0.7641 0.6370 [1 per cell]  1 S 1.45
195 O 0.8935 0.0934 0.9222 [1 per cell]  1 S 1.47
196 O 0.8935 0.2333 0.5813 [1 per cell]  1 S 1.47
197 O 0.8979 0.0997 0.3115 [1 per cell]  1 S 1.50
198 O 0.8995 0.2245 0.9756 [1 per cell]  1 S 1.47
199 O 0.9032 0.7452 0.9311 [1 per cell]  1 S 1.53
200 O 0.9077 0.5670 0.6324 [1 per cell]  1 S 1.45
201 O 0.9080 0.5787 0.9299 [1 per cell]  1 S 1.52
202 O 0.9101 0.8995 0.3097 [1 per cell]  1 S 1.54
203 O 0.9134 0.9004 0.9216 [1 per cell]  1 S 1.48
204 O 0.9136 0.4537 0.8708 [1 per cell]  1 S 1.46
205 O 0.9235 0.7746 0.2532 [1 per cell]  1 S 1.46
206 O 0.9241 0.4380 0.5781 [1 per cell]  1 S 1.47
207 O 0.9267 0.7822 0.5352 [1 per cell]  1 S 1.53
208 O 0.9347 0.1180 0.2097 [1 per cell]  1 S 1.46
209 O 0.9363 0.9050 0.5939 [1 per cell]  1 S 1.51
210 O 0.9405 0.2402 0.2685 [1 per cell]  1 S 1.53